# 1
{
  "formula": "YBiO3",
  "functional": "PBE",
  "state": "relaxed",
  "lattice": [[6.1495, 0.0000, 0.0000], [0.0000, 8.6676, 0.0000], [0.0000, 0.0000, 5.8875]],
  "species": ["Y", "Y", "Y", "Y", "Bi", "Bi", "Bi", "Bi", "O", "O", "O", "O", "O", "O", "O", "O", "O", "O", "O", "O"],
  "fractional_positions": [[0.0484, 0.2500, 0.0093], [0.4516, 0.7500, 0.5093], [0.5484, 0.2500, 0.4907], [0.9516, 0.7500, 0.9907], [0.0000, 0.0000, 0.5000], [0.0000, 0.5000, 0.5000], [0.5000, 0.0000, 0.0000], [0.5000, 0.5000, 0.0000], [0.1060, 0.7500, 0.3335], [0.1758, 0.5826, 0.8293], [0.1758, 0.9174, 0.8293], [0.3242, 0.0826, 0.3293], [0.3242, 0.4174, 0.3293], [0.3940, 0.2500, 0.8335], [0.6060, 0.7500, 0.1665], [0.6758, 0.5826, 0.6707], [0.6758, 0.9174, 0.6707], [0.8242, 0.0826, 0.1707], [0.8242, 0.4174, 0.1707], [0.8940, 0.2500, 0.6665]],
  "magnetic_moment_mub_per_cell": 0.00,
  "ef_mev_per_atom": -2641
}


# 2
{
  "formula": "Si2N2O",
  "functional": "PBE",
  "state": "relaxed",
  "lattice": [[4.4823, -2.7729, 0.0000], [4.4823, 2.7729, 0.0000], [0.0000, 0.0000, 4.8953]],
  "species": ["Si", "Si", "Si", "Si", "N", "N", "N", "N", "O", "O"],
  "fractional_positions": [[0.0267, 0.3275, 0.0000], [0.3275, 0.0267, 0.5000], [0.6725, 0.9733, 0.0000], [0.9733, 0.6725, 0.5000], [0.0962, 0.3429, 0.6559], [0.3429, 0.0962, 0.1559], [0.6571, 0.9038, 0.6559], [0.9038, 0.6571, 0.1559], [0.2093, 0.7907, 0.5495], [0.7907, 0.2093, 0.0495]],
  "ef_mev_per_atom": -1775,
  "e_ij_max_c_m2": 0.32
}


- What is the formula in the second record?
  Si2N2O


Please write out number 1 again, unchanged.
{
  "formula": "YBiO3",
  "functional": "PBE",
  "state": "relaxed",
  "lattice": [[6.1495, 0.0000, 0.0000], [0.0000, 8.6676, 0.0000], [0.0000, 0.0000, 5.8875]],
  "species": ["Y", "Y", "Y", "Y", "Bi", "Bi", "Bi", "Bi", "O", "O", "O", "O", "O", "O", "O", "O", "O", "O", "O", "O"],
  "fractional_positions": [[0.0484, 0.2500, 0.0093], [0.4516, 0.7500, 0.5093], [0.5484, 0.2500, 0.4907], [0.9516, 0.7500, 0.9907], [0.0000, 0.0000, 0.5000], [0.0000, 0.5000, 0.5000], [0.5000, 0.0000, 0.0000], [0.5000, 0.5000, 0.0000], [0.1060, 0.7500, 0.3335], [0.1758, 0.5826, 0.8293], [0.1758, 0.9174, 0.8293], [0.3242, 0.0826, 0.3293], [0.3242, 0.4174, 0.3293], [0.3940, 0.2500, 0.8335], [0.6060, 0.7500, 0.1665], [0.6758, 0.5826, 0.6707], [0.6758, 0.9174, 0.6707], [0.8242, 0.0826, 0.1707], [0.8242, 0.4174, 0.1707], [0.8940, 0.2500, 0.6665]],
  "magnetic_moment_mub_per_cell": 0.00,
  "ef_mev_per_atom": -2641
}